Entry 1:
Density functional theory data (PBE-GGA) for a geometry-optimized SbPb structure.

Calculated values
The value obtained for the mass density is 9.001 g/cm3. As for the volume: 30.34 Å³ per atom. The value obtained for the energy of formation is 0.1054 eV/atom. The total magnetization is 0.001 μB per cell. As for the crystal system: orthorhombic.

```
data_SbPb
_chemical_formula_sum 'Sb2 Pb2'
_cell_length_a 4.152
_cell_length_b 5.361
_cell_length_c 5.453
_cell_angle_alpha 90.00
_cell_angle_beta 90.00
_cell_angle_gamma 90.00
_space_group_name_H-M_alt 'C m m m'
_space_group_IT_number 65
_space_group_name_Hall '-C 2 2'
loop_
_atom_site_label
_atom_site_type_symbol
_atom_site_fract_x
_atom_site_fract_y
_atom_site_fract_z
Sb1 Sb 0.000 0.000 0.000
Pb1 Pb 0.000 0.500 0.500
```

***

Entry 2:
Density functional theory data (PBE-GGA) for a geometry-optimized SrLiAlF6 structure.

Calculated values
The value obtained for the mass density is 3.474 g/cm3. As for the volume: 12.51 Å³ per atom. The value obtained for the energy of formation is -3.8503 eV/atom. The total magnetization is 0.000 μB per cell. As for the crystal system: monoclinic.

```
data_SrLiAlF6
_chemical_formula_sum 'Sr4 Li4 Al4 F24'
_cell_length_a 5.157
_cell_length_b 10.267
_cell_length_c 8.507
_cell_angle_alpha 90.00
_cell_angle_beta 91.06
_cell_angle_gamma 90.00
_space_group_name_H-M_alt 'P 1 21/c 1'
_space_group_IT_number 14
_space_group_name_Hall '-P 2ybc'
loop_
_atom_site_label
_atom_site_type_symbol
_atom_site_fract_x
_atom_site_fract_y
_atom_site_fract_z
Sr1 Sr 0.170 0.186 0.025
Li1 Li 0.245 0.569 0.168
Al1 Al 0.274 0.597 0.761
F1 F 0.025 0.017 0.824
F2 F 0.106 0.742 0.232
F3 F 0.141 0.602 0.955
F4 F 0.380 0.617 0.559
F5 F 0.395 0.071 0.276
F6 F 0.418 0.154 0.667
```

***

Entry 3:
Density functional theory data (PBE-GGA) for a geometry-optimized Sr7Al12O25 structure.

Calculated values
The value obtained for the mass density is 3.306 g/cm3. As for the volume: 15.27 Å³ per atom. The value obtained for the energy of formation is -3.3365 eV/atom. The total magnetization is 0.000 μB per cell. As for the crystal system: trigonal.

```
data_Sr7Al12O25
_chemical_formula_sum 'Sr21 Al36 O75'
_cell_length_a 18.3215
_cell_length_b 18.3215
_cell_length_c 6.9315
_cell_angle_alpha 90.00
_cell_angle_beta 90.00
_cell_angle_gamma 120.00
_space_group_name_H-M_alt 'R 3'
_space_group_IT_number 146
_space_group_name_Hall 'R 3'
loop_
_atom_site_label
_atom_site_type_symbol
_atom_site_fract_x
_atom_site_fract_y
_atom_site_fract_z
Sr1 Sr 0.0000 0.0000 0.0000
Sr2 Sr 0.0654 0.5569 0.0611
Sr3 Sr 0.1808 0.4090 0.8556
Al1 Al 0.0136 0.7433 0.0013
Al2 Al 0.0747 0.3917 0.2452
Al3 Al 0.0783 0.1945 0.8343
Al4 Al 0.1804 0.1093 0.7370
O1 O 0.0000 0.0000 0.6943
O2 O 0.0233 0.2880 0.3394
O3 O 0.0352 0.8639 0.6638
O4 O 0.0559 0.4612 0.3835
O5 O 0.0652 0.6912 0.9060
O6 O 0.0887 0.8529 0.0374
O7 O 0.1430 0.7434 0.5504
O8 O 0.1462 0.0256 0.9212
O9 O 0.1849 0.4300 0.2220
```

***

Entry 4:
Density functional theory data (PBE-GGA) for a geometry-optimized BaCaSnF7 structure.

Calculated values
The value obtained for the mass density is 4.485 g/cm3. As for the volume: 15.89 Å³ per atom. The value obtained for the energy of formation is -3.5067 eV/atom. The total magnetization is 3.163 μB per cell. As for the crystal system: monoclinic.

```
data_BaCaSnF7
_chemical_formula_sum 'Ba4 Ca4 Sn4 F28'
_cell_length_a 5.915
_cell_length_b 10.800
_cell_length_c 9.952
_cell_angle_alpha 90.00
_cell_angle_beta 91.67
_cell_angle_gamma 90.00
_space_group_name_H-M_alt 'P 1 21/c 1'
_space_group_IT_number 14
_space_group_name_Hall '-P 2ybc'
loop_
_atom_site_label
_atom_site_type_symbol
_atom_site_fract_x
_atom_site_fract_y
_atom_site_fract_z
Ba1 Ba 0.232 0.180 0.498
Ca1 Ca 0.212 0.585 0.318
Sn1 Sn 0.281 0.608 0.707
F1 F 0.007 0.241 0.749
F2 F 0.014 0.504 0.141
F3 F 0.145 0.051 0.101
F4 F 0.218 0.707 0.515
F5 F 0.407 0.084 0.893
F6 F 0.481 0.730 0.274
F7 F 0.491 0.507 0.857
```

***

Entry 5:
Density functional theory data (PBE-GGA) for a geometry-optimized LuMn2Si2 structure.

Calculated values
The value obtained for the mass density is 7.457 g/cm3. As for the volume: 15.19 Å³ per atom. The value obtained for the energy of formation is -0.5982 eV/atom. As for the crystal system: tetragonal.

```
data_LuMn2Si2
_chemical_formula_sum 'Lu2 Mn4 Si4'
_cell_length_a 3.854
_cell_length_b 3.854
_cell_length_c 10.226
_cell_angle_alpha 90.00
_cell_angle_beta 90.00
_cell_angle_gamma 90.00
_space_group_name_H-M_alt 'I 4/m m m'
_space_group_IT_number 139
_space_group_name_Hall '-I 4 2'
loop_
_atom_site_label
_atom_site_type_symbol
_atom_site_fract_x
_atom_site_fract_y
_atom_site_fract_z
Lu1 Lu 0.000 0.000 0.000
Mn1 Mn 0.000 0.500 0.250
Si1 Si 0.000 0.000 0.381
```

***

Entry 6:
Density functional theory data (PBE-GGA) for a geometry-optimized Nd5Ga3 structure.

Calculated values
The value obtained for the mass density is 6.803 g/cm3. As for the volume: 28.39 Å³ per atom. The value obtained for the energy of formation is -0.4337 eV/atom. As for the crystal system: tetragonal.

```
data_Nd5Ga3
_chemical_formula_sum 'Nd20 Ga12'
_cell_length_a 7.887
_cell_length_b 7.887
_cell_length_c 14.603
_cell_angle_alpha 90.00
_cell_angle_beta 90.00
_cell_angle_gamma 90.00
_space_group_name_H-M_alt 'I 4/m c m'
_space_group_IT_number 140
_space_group_name_Hall '-I 4 2c'
loop_
_atom_site_label
_atom_site_type_symbol
_atom_site_fract_x
_atom_site_fract_y
_atom_site_fract_z
Nd1 Nd 0.000 0.000 0.000
Nd2 Nd 0.172 0.328 0.149
Ga1 Ga 0.000 0.000 0.250
Ga2 Ga 0.118 0.382 0.500
```

***

Entry 7:
Density functional theory data (PBE-GGA) for a geometry-optimized Ti2In structure.

Calculated values
The value obtained for the mass density is 5.069 g/cm3. As for the volume: 22.99 Å³ per atom. The value obtained for the energy of formation is 0.5361 eV/atom. The total magnetization is 12.080 μB per cell. As for the crystal system: cubic.

```
data_Ti2In
_chemical_formula_sum 'Ti8 In4'
_cell_length_a 6.510
_cell_length_b 6.510
_cell_length_c 6.510
_cell_angle_alpha 90.00
_cell_angle_beta 90.00
_cell_angle_gamma 90.00
_space_group_name_H-M_alt 'F -4 3 m'
_space_group_IT_number 216
_space_group_name_Hall 'F -4 2 3'
loop_
_atom_site_label
_atom_site_type_symbol
_atom_site_fract_x
_atom_site_fract_y
_atom_site_fract_z
Ti1 Ti 0.000 0.000 0.000
Ti2 Ti 0.250 0.250 0.250
In1 In 0.000 0.000 0.500
```

***

Entry 8:
Density functional theory data (PBE-GGA) for a geometry-optimized Ba3Ga2N4 structure.

Calculated values
The value obtained for the mass density is 5.913 g/cm3. As for the volume: 18.95 Å³ per atom. The value obtained for the energy of formation is -0.6537 eV/atom. The total magnetization is 0.000 μB per cell. As for the crystal system: orthorhombic.

```
data_Ba3Ga2N4
_chemical_formula_sum 'Ba12 Ga8 N16'
_cell_length_a 6.285
_cell_length_b 10.645
_cell_length_c 10.199
_cell_angle_alpha 90.00
_cell_angle_beta 90.00
_cell_angle_gamma 90.00
_space_group_name_H-M_alt 'P n n a'
_space_group_IT_number 52
_space_group_name_Hall '-P 2a 2bc'
loop_
_atom_site_label
_atom_site_type_symbol
_atom_site_fract_x
_atom_site_fract_y
_atom_site_fract_z
Ba1 Ba 0.108 0.155 0.088
Ba2 Ba 0.250 0.000 0.407
Ga1 Ga 0.164 0.250 0.750
Ga2 Ga 0.250 0.000 0.731
N1 N 0.021 0.097 0.829
N2 N 0.138 0.646 0.870
```

***

Entry 9:
Density functional theory data (PBE-GGA) for a geometry-optimized TlBi2 structure.

Calculated values
The value obtained for the mass density is 10.601 g/cm3. As for the volume: 32.49 Å³ per atom. The value obtained for the energy of formation is -0.0167 eV/atom. As for the crystal system: hexagonal.

```
data_TlBi2
_chemical_formula_sum 'Tl1 Bi2'
_cell_length_a 5.7139
_cell_length_b 5.7139
_cell_length_c 3.4477
_cell_angle_alpha 90.00
_cell_angle_beta 90.00
_cell_angle_gamma 120.00
_space_group_name_H-M_alt 'P 6/m m m'
_space_group_IT_number 191
_space_group_name_Hall '-P 6 2'
loop_
_atom_site_label
_atom_site_type_symbol
_atom_site_fract_x
_atom_site_fract_y
_atom_site_fract_z
Tl1 Tl 0.0000 0.0000 0.0000
Bi1 Bi 0.3333 0.6667 0.5000
```

***

Entry 10:
Density functional theory data (PBE-GGA) for a geometry-optimized SbH3CS2N structure.

Calculated values
The value obtained for the mass density is 2.264 g/cm3. As for the volume: 19.71 Å³ per atom. The value obtained for the energy of formation is 0.1144 eV/atom. The total magnetization is 3.995 μB per cell. As for the crystal system: triclinic.

```
data_SbH3CS2N
_chemical_formula_sum 'Sb4 H12 C4 S8 N4'
_cell_length_a 6.970
_cell_length_b 7.927
_cell_length_c 12.195
_cell_angle_alpha 94.59
_cell_angle_beta 97.52
_cell_angle_gamma 107.87
_space_group_name_H-M_alt 'P -1'
_space_group_IT_number 2
_space_group_name_Hall '-P 1'
loop_
_atom_site_label
_atom_site_type_symbol
_atom_site_fract_x
_atom_site_fract_y
_atom_site_fract_z
Sb1 Sb 0.018 0.198 0.375
Sb2 Sb 0.376 0.792 0.845
H1 H 0.032 0.214 0.968
H2 H 0.046 0.206 0.825
H3 H 0.229 0.182 0.635
H4 H 0.387 0.170 0.901
H5 H 0.390 0.795 0.418
H6 H 0.421 0.783 0.277
C1 C 0.182 0.451 0.918
C2 C 0.353 0.545 0.341
S1 S 0.025 0.142 0.631
S2 S 0.034 0.819 0.838
S3 S 0.341 0.824 0.632
S4 S 0.433 0.860 0.103
N1 N 0.084 0.284 0.903
N2 N 0.392 0.715 0.347
```

***

Entry 11:
Density functional theory data (PBE-GGA) for a geometry-optimized Tb2Co14B structure.

Calculated values
The value obtained for the mass density is 8.931 g/cm3. As for the volume: 12.62 Å³ per atom. The value obtained for the energy of formation is -0.1677 eV/atom. The total magnetization is 72.982 μB per cell. As for the crystal system: tetragonal.

```
data_Tb2Co14B
_chemical_formula_sum 'Tb8 Co56 B4'
_cell_length_a 8.577
_cell_length_b 8.577
_cell_length_c 11.665
_cell_angle_alpha 90.00
_cell_angle_beta 90.00
_cell_angle_gamma 90.00
_space_group_name_H-M_alt 'P 42/m n m'
_space_group_IT_number 136
_space_group_name_Hall '-P 4n 2n'
loop_
_atom_site_label
_atom_site_type_symbol
_atom_site_fract_x
_atom_site_fract_y
_atom_site_fract_z
Tb1 Tb 0.146 0.146 0.000
Tb2 Tb 0.224 0.224 0.500
Co1 Co 0.000 0.000 0.383
Co2 Co 0.000 0.500 0.000
Co3 Co 0.037 0.641 0.178
Co4 Co 0.069 0.724 0.374
Co5 Co 0.098 0.902 0.202
Co6 Co 0.182 0.182 0.254
B1 B 0.123 0.877 0.500
```

***

Entry 12:
Density functional theory data (PBE-GGA) for a geometry-optimized Nd2CuS2O structure.

Calculated values
The value obtained for the mass density is 3.714 g/cm3. As for the volume: 32.21 Å³ per atom. The value obtained for the energy of formation is -0.7607 eV/atom. The total magnetization is 0.935 μB per cell. As for the crystal system: tetragonal.

```
data_Nd2CuS2O
_chemical_formula_sum 'Nd2 Cu1 S2 O1'
_cell_length_a 3.735
_cell_length_b 3.735
_cell_length_c 13.849
_cell_angle_alpha 90.00
_cell_angle_beta 90.00
_cell_angle_gamma 90.00
_space_group_name_H-M_alt 'P 4/m m m'
_space_group_IT_number 123
_space_group_name_Hall '-P 4 2'
loop_
_atom_site_label
_atom_site_type_symbol
_atom_site_fract_x
_atom_site_fract_y
_atom_site_fract_z
Nd1 Nd 0.000 0.000 0.155
Cu1 Cu 0.000 0.000 0.500
S1 S 0.000 0.000 0.350
O1 O 0.000 0.000 0.000
```

***

Q: mass density of number 12 (Nd2CuS2O)?
A: 3.714 g/cm3